# 1
Entry from the Materials Project database: a relaxed CoTeO3 crystal (PBE+U).

Calculated values
Electronic total energy in eV/atom: -5.685
ΔE_f in eV/f.u.: -7.026
Size of the total moment in μB/atom: 0.60

a = 6.0670 Å, b = 7.5678 Å, c = 5.3972 Å
α = 90.00°, β = 90.00°, γ = 90.00°
With the nearest neighbours (Å) after each atom.
Fractional positions:
Co 0.0000 0.0000 0.0000  6 O 2.11-2.31
Co 0.0000 0.5000 0.0000  6 O 2.11-2.31
Co 0.5000 0.0000 0.5000  6 O 2.11-2.31
Co 0.5000 0.5000 0.5000  6 O 2.11-2.31
Te 0.0138 0.2500 0.4877  3 O 1.94-1.96
Te 0.4862 0.7500 0.9877  3 O 1.94-1.96
Te 0.5138 0.2500 0.0123  3 O 1.94-1.96
Te 0.9862 0.7500 0.5123  3 O 1.94-1.96
O 0.0525 0.7500 0.1607  1 Te 1.94, 2 Co 2.11
O 0.1824 0.5643 0.6362  1 Te 1.96, 1 Co 2.12
O 0.1824 0.9357 0.6362  1 Te 1.96, 1 Co 2.12
O 0.3176 0.0643 0.1362  1 Te 1.96, 1 Co 2.12
O 0.3176 0.4357 0.1362  1 Te 1.96, 1 Co 2.12
O 0.4475 0.2500 0.6607  1 Te 1.94, 2 Co 2.11
O 0.5525 0.7500 0.3393  1 Te 1.94, 2 Co 2.11
O 0.6824 0.5643 0.8638  1 Te 1.96, 1 Co 2.12
O 0.6824 0.9357 0.8638  1 Te 1.96, 1 Co 2.12
O 0.8176 0.0643 0.3638  1 Te 1.96, 1 Co 2.12
O 0.8176 0.4357 0.3638  1 Te 1.96, 1 Co 2.12
O 0.9475 0.2500 0.8393  1 Te 1.94, 2 Co 2.11



# 2
Entry from the Materials Project database: a relaxed MnVAgO4 crystal (PBE+U).

Calculated values
Electronic total energy in eV/atom: -6.851
ΔE_f in eV/f.u.: -13.200
Size of the total moment in μB/atom: 0.00

a = 9.7635 Å, b = 6.9203 Å, c = 5.4519 Å
α = 90.00°, β = 90.00°, γ = 90.00°
With the nearest neighbours (Å) after each atom.
Fractional positions:
Mn 0.0000 0.0000 0.0000  4 O 2.12-2.22
Mn 0.0000 0.5000 0.0000  4 O 2.12-2.22
Mn 0.5000 0.0000 0.5000  4 O 2.12-2.22
Mn 0.5000 0.5000 0.5000  4 O 2.12-2.22
V 0.1780 0.2500 0.4786  4 O 1.73-1.80
V 0.3220 0.7500 0.9786  4 O 1.73-1.80
V 0.6780 0.2500 0.0214  4 O 1.73-1.80
V 0.8220 0.7500 0.5214  4 O 1.73-1.80
Ag 0.1513 0.7500 0.5006  4 O 2.32-2.54
Ag 0.3487 0.2500 0.0006  4 O 2.32-2.54
Ag 0.6513 0.7500 0.9994  4 O 2.32-2.54
Ag 0.8487 0.2500 0.4994  4 O 2.32-2.54
O 0.1150 0.0509 0.3226  1 V 1.73
O 0.1150 0.4491 0.3226  1 V 1.73
O 0.1179 0.2500 0.7858  1 V 1.77
O 0.1385 0.7500 0.9395  1 V 1.80
O 0.3615 0.2500 0.4395  1 V 1.80
O 0.3821 0.7500 0.2858  1 V 1.77
O 0.3850 0.5509 0.8226  1 V 1.73
O 0.3850 0.9491 0.8226  1 V 1.73
O 0.6150 0.0509 0.1774  1 V 1.73
O 0.6150 0.4491 0.1774  1 V 1.73
O 0.6179 0.2500 0.7142  1 V 1.77
O 0.6385 0.7500 0.5605  1 V 1.80
O 0.8615 0.2500 0.0605  1 V 1.80
O 0.8821 0.7500 0.2142  1 V 1.77
O 0.8850 0.5509 0.6774  1 V 1.73
O 0.8850 0.9491 0.6774  1 V 1.73



Among the records above, which one has the highest size of the total moment? CoTeO3



Please write out number 1 again, unchanged.
Entry from the Materials Project database: a relaxed CoTeO3 crystal (PBE+U).

Calculated values
Electronic total energy in eV/atom: -5.685
ΔE_f in eV/f.u.: -7.026
Size of the total moment in μB/atom: 0.60

a = 6.0670 Å, b = 7.5678 Å, c = 5.3972 Å
α = 90.00°, β = 90.00°, γ = 90.00°
With the nearest neighbours (Å) after each atom.
Fractional positions:
Co 0.0000 0.0000 0.0000  6 O 2.11-2.31
Co 0.0000 0.5000 0.0000  6 O 2.11-2.31
Co 0.5000 0.0000 0.5000  6 O 2.11-2.31
Co 0.5000 0.5000 0.5000  6 O 2.11-2.31
Te 0.0138 0.2500 0.4877  3 O 1.94-1.96
Te 0.4862 0.7500 0.9877  3 O 1.94-1.96
Te 0.5138 0.2500 0.0123  3 O 1.94-1.96
Te 0.9862 0.7500 0.5123  3 O 1.94-1.96
O 0.0525 0.7500 0.1607  1 Te 1.94, 2 Co 2.11
O 0.1824 0.5643 0.6362  1 Te 1.96, 1 Co 2.12
O 0.1824 0.9357 0.6362  1 Te 1.96, 1 Co 2.12
O 0.3176 0.0643 0.1362  1 Te 1.96, 1 Co 2.12
O 0.3176 0.4357 0.1362  1 Te 1.96, 1 Co 2.12
O 0.4475 0.2500 0.6607  1 Te 1.94, 2 Co 2.11
O 0.5525 0.7500 0.3393  1 Te 1.94, 2 Co 2.11
O 0.6824 0.5643 0.8638  1 Te 1.96, 1 Co 2.12
O 0.6824 0.9357 0.8638  1 Te 1.96, 1 Co 2.12
O 0.8176 0.0643 0.3638  1 Te 1.96, 1 Co 2.12
O 0.8176 0.4357 0.3638  1 Te 1.96, 1 Co 2.12
O 0.9475 0.2500 0.8393  1 Te 1.94, 2 Co 2.11



Repeat the first record exactly.
Entry from the Materials Project database: a relaxed CoTeO3 crystal (PBE+U).

Calculated values
Electronic total energy in eV/atom: -5.685
ΔE_f in eV/f.u.: -7.026
Size of the total moment in μB/atom: 0.60

a = 6.0670 Å, b = 7.5678 Å, c = 5.3972 Å
α = 90.00°, β = 90.00°, γ = 90.00°
With the nearest neighbours (Å) after each atom.
Fractional positions:
Co 0.0000 0.0000 0.0000  6 O 2.11-2.31
Co 0.0000 0.5000 0.0000  6 O 2.11-2.31
Co 0.5000 0.0000 0.5000  6 O 2.11-2.31
Co 0.5000 0.5000 0.5000  6 O 2.11-2.31
Te 0.0138 0.2500 0.4877  3 O 1.94-1.96
Te 0.4862 0.7500 0.9877  3 O 1.94-1.96
Te 0.5138 0.2500 0.0123  3 O 1.94-1.96
Te 0.9862 0.7500 0.5123  3 O 1.94-1.96
O 0.0525 0.7500 0.1607  1 Te 1.94, 2 Co 2.11
O 0.1824 0.5643 0.6362  1 Te 1.96, 1 Co 2.12
O 0.1824 0.9357 0.6362  1 Te 1.96, 1 Co 2.12
O 0.3176 0.0643 0.1362  1 Te 1.96, 1 Co 2.12
O 0.3176 0.4357 0.1362  1 Te 1.96, 1 Co 2.12
O 0.4475 0.2500 0.6607  1 Te 1.94, 2 Co 2.11
O 0.5525 0.7500 0.3393  1 Te 1.94, 2 Co 2.11
O 0.6824 0.5643 0.8638  1 Te 1.96, 1 Co 2.12
O 0.6824 0.9357 0.8638  1 Te 1.96, 1 Co 2.12
O 0.8176 0.0643 0.3638  1 Te 1.96, 1 Co 2.12
O 0.8176 0.4357 0.3638  1 Te 1.96, 1 Co 2.12
O 0.9475 0.2500 0.8393  1 Te 1.94, 2 Co 2.11



What is the electronic total energy in the second record? -6.851 eV/atom